Record 1
First-principles (GGA-PBE) data for a relaxed structure of Ba4LaTiNb3O15, as listed in the Materials Project.

Unit cell a=5.8158 b=5.8158 c=11.6940 alpha=90.00 beta=90.00 gamma=120.00
Last column: nearest neighbours and their distance in Å.
Space group P3m1 (No. 156)
Asymmetric unit:
Ba 0.0000 0.0000 0.0000 x1  12 O 2.80-3.00
Ba 0.0000 0.0000 0.3745 x1  12 O 2.74-2.99
Ba 0.3333 0.6667 0.7870 x1  12 O 2.85-2.91
Ba 0.6667 0.3333 0.5823 x1  12 O 2.85-2.92
La 0.3333 0.6667 0.1344 x1  3 O 2.43
Ti 0.3333 0.6667 0.4674 x1  3 O 1.88
Nb 0.0000 0.0000 0.6805 x1  6 O 1.99-2.09
Nb 0.6667 0.3333 0.2648 x1  3 O 1.88
Nb 0.6667 0.3333 0.9019 x1  6 O 1.94-2.16
O 0.0010 0.5005 0.9841 x3  1 Nb 1.94
O 0.0093 0.5047 0.3882 x3  1 Ti 1.88
O 0.1652 0.3304 0.5869 x3  1 Nb 1.99, 1 Ti 2.20
O 0.3326 0.1663 0.7867 x3  2 Nb 2.09-2.16
O 0.3362 0.1681 0.1903 x3  1 Nb 1.88

Results
Energy of formation: -80.175 eV per formula unit
Total magnetic moment: 0.0000 μB per atom
Relative energy among the computed polymorphs: 23 meV/atom

Record 2
First-principles (GGA-PBE) data for a relaxed structure of ZnF2, as listed in the Materials Project.

Unit cell a=4.8025 b=4.8025 c=3.1850 alpha=90.00 beta=90.00 gamma=90.00
Last column: nearest neighbours and their distance in Å.
Space group P4_2/mnm (No. 136)
Asymmetric unit:
Zn 0.0000 0.0000 0.0000 x2  6 F 2.07
F 0.1958 0.1958 0.5000 x4  3 Zn 2.07

Results
Energy of formation: -7.803 eV per formula unit

Record 3
First-principles (GGA-PBE) data for a relaxed structure of NbSe2, as listed in the Materials Project.

Unit cell a=26.4500 b=3.4897 c=6.0367 alpha=90.00 beta=90.00 gamma=90.00
Last column: nearest neighbours and their distance in Å.
Space group Amm2 (No. 38)
Asymmetric unit:
Nb 0.0000 0.0000 0.0000 x2  6 Se 2.62
Nb 0.2404 0.0000 0.3332 x4  6 Se 2.63
Nb 0.5000 0.0000 0.5572 x2  6 Se 2.63
Se 0.0635 0.0000 0.6666 x4  3 Nb 2.62
Se 0.1767 0.0000 0.9993 x4  3 Nb 2.63
Se 0.3043 0.0000 0.6667 x4  3 Nb 2.63
Se 0.4362 0.0000 0.2237 x4  3 Nb 2.63

Results
Energy of formation: -3.411 eV per formula unit

Record 4
First-principles (GGA-PBE) data for a relaxed structure of CaAlF5, as listed in the Materials Project.

Unit cell a=8.8194 b=6.4070 c=7.4398 alpha=90.00 beta=115.03 gamma=90.00
Last column: nearest neighbours and their distance in Å.
Space group C2/c (No. 15)
Asymmetric unit:
Ca 0.0000 0.0415 0.2500 x4  6 F 2.23-2.38
Al 0.0000 0.5000 0.0000 x4  6 F 1.78-1.90
F 0.0000 0.4420 0.2500 x4  2 Al 1.90
F 0.0111 0.2164 0.9739 x8  1 Al 1.83
F 0.2221 0.4829 0.6136 x8  1 Al 1.78

Results
Energy of formation: -28.234 eV per formula unit
Relative energy among the computed polymorphs: 0 meV/atom

no.,total DFT energy (no corrections) (eV per cell),theoretical density (g cm⁻³)
1,-194.90,6.1
2,-23.94,4.7
3,-156.48,6.0
4,-164.99,2.8